(1)
A plane-wave DFT calculation with PBE with a Hubbard U was carried out for a relaxed MgCr4Hg4H4O18 crystal.

Unit cell a=6.4583 b=6.4992 c=15.4118 alpha=68.98 beta=115.18 gamma=127.39
Fractional positions:
O (0.7264, 0.4149, 0.9897)
O (0.0080, 0.3767, 0.3892)
O (0.0144, 0.7690, 0.3727)
Cr (0.2808, 0.7260, 0.3797)
O (0.7739, 0.4949, 0.1549)
O (0.3025, 0.0693, 0.0667)
O (0.7968, 0.0863, 0.1571)
Mg (0.0000, 0.5000, 0.5000)
O (0.2736, 0.5851, 0.0103)
O (0.5883, 0.5884, 0.7460)
O (0.4228, 0.8508, 0.2928)
O (0.5772, 0.1492, 0.7072)
Hg (0.9533, 0.8981, 0.6258)
H (0.5979, 0.4569, 0.2703)
O (0.5454, 0.2532, 0.5038)
Cr (0.3459, 0.7265, 0.9080)
O (0.2261, 0.5051, 0.8451)
Hg (0.0592, 0.0889, 0.1132)
H (0.5733, 0.4195, 0.7680)
Cr (0.6541, 0.2735, 0.0920)
Cr (0.7192, 0.2740, 0.6203)
O (0.4546, 0.7468, 0.4962)
O (0.9856, 0.2310, 0.6273)
O (0.4117, 0.4116, 0.2540)
Hg (0.9408, 0.9111, 0.8868)
Hg (0.0467, 0.1019, 0.3742)
O (0.2032, 0.9137, 0.8429)
O (0.9920, 0.6233, 0.6108)
O (0.6975, 0.9307, 0.9333)
H (0.4021, 0.5431, 0.7297)
H (0.4267, 0.5805, 0.2320)

Results
Energy above the lowest structure with this stoichiometry ... 4.0 kJ/mol of atoms
Raw total energy ... -5.331 eV/atom
Total magnetic moment ... 1.963 μB/f.u.

***

(2)
A plane-wave DFT calculation with PBE with a Hubbard U was carried out for a relaxed NaCr2InH4O10 crystal.

Unit cell a=5.7367 b=6.3011 c=7.4342 alpha=110.08 beta=90.00 gamma=117.08
Fractional positions:
O (0.7220, 0.9545, 0.7767)
O (0.7675, 0.0455, 0.2233)
O (0.7937, 0.5873, 0.9336)
Cr (0.3883, 0.7766, 0.6843)
O (0.2780, 0.0455, 0.2233)
Na (0.0000, 0.0000, 0.5000)
In (0.0000, 0.0000, 0.0000)
O (0.6511, 0.3021, 0.5510)
O (0.2577, 0.5153, 0.7327)
O (0.7423, 0.4847, 0.2673)
H (0.2722, 0.5445, 0.2024)
O (0.2063, 0.4127, 0.0664)
O (0.2325, 0.9545, 0.7767)
Cr (0.6117, 0.2234, 0.3157)
H (0.7278, 0.4555, 0.7976)
H (0.2430, 0.4861, 0.9648)
O (0.3489, 0.6979, 0.4490)
H (0.7570, 0.5139, 0.0352)

Results
Raw total energy ... -5.829 eV/atom
Total magnetic moment ... 0.001 μB/f.u.

***

(3)
A plane-wave DFT calculation with PBE with a Hubbard U was carried out for a relaxed K2CrMo6H19O32 crystal.

Unit cell a=10.7740 b=11.0017 c=12.7895 alpha=100.87 beta=94.75 gamma=98.66
Fractional positions:
O (0.3399, 0.7150, 0.6378)
H (0.6367, 0.9684, 0.1745)
O (0.8662, 0.3269, 0.5313)
H (0.6616, 0.2743, 0.2610)
H (0.1933, 0.9991, 0.2546)
H (0.3796, 0.1118, 0.6492)
O (0.6493, 0.9949, 0.1048)
Mo (0.2104, 0.8262, 0.9053)
O (0.8785, 0.4467, 0.3586)
H (0.1189, 0.5425, 0.0005)
O (0.4182, 0.1188, 0.1001)
O (0.3522, 0.1118, 0.7205)
H (0.4137, 0.3608, 0.3141)
H (0.9406, 0.6350, 0.1341)
O (0.1345, 0.4582, 0.0072)
K (0.9345, 0.9753, 0.3334)
O (0.1730, 0.4212, 0.4356)
O (0.6618, 0.2647, 0.1709)
O (0.4632, 0.3975, 0.1898)
O (0.2903, 0.3478, 0.7514)
H (0.3633, 0.0316, 0.8255)
O (0.3924, 0.6211, 0.4574)
O (0.1338, 0.6731, 0.4687)
H (0.2261, 0.4666, 0.0050)
O (0.3382, 0.7353, 0.8291)
H (0.3384, 0.7257, 0.7390)
K (0.9306, 0.5810, 0.7780)
Mo (0.2108, 0.5808, 0.5396)
H (0.8783, 0.1670, 0.5369)
O (0.8258, 0.0376, 0.9873)
H (0.6400, 0.5552, 0.3423)
Mo (0.7896, 0.1738, 0.0947)
Mo (0.7892, 0.4192, 0.4604)
O (0.3911, 0.8963, 0.5037)
O (0.5464, 0.9062, 0.6932)
O (0.5870, 0.6496, 0.6105)
O (0.8682, 0.8569, 0.1140)
O (0.3208, 0.5840, 0.2517)
H (0.7739, 0.5334, 0.9950)
O (0.3811, 0.1950, 0.5123)
H (0.6714, 0.8043, 0.2561)
O (0.6674, 0.1705, 0.7882)
O (0.3550, 0.4527, 0.5820)
O (0.8310, 0.8356, 0.6462)
H (0.3705, 0.6134, 0.3774)
O (0.8492, 0.7612, 0.4278)
O (0.3507, 0.0051, 0.8952)
O (0.5368, 0.6025, 0.8102)
O (0.6087, 0.4243, 0.0209)
H (0.1217, 0.8330, 0.4631)
O (0.1508, 0.2388, 0.5722)
H (0.0594, 0.3650, 0.8659)
O (0.8680, 0.2980, 0.0459)
Mo (0.5210, 0.3140, 0.0773)
O (0.1742, 0.9624, 0.0127)
O (0.1300, 0.9245, 0.4665)
Mo (0.4790, 0.6860, 0.9227)
H (0.3600, 0.4448, 0.6577)
H (0.1500, 0.9237, 0.1367)
O (0.7097, 0.6522, 0.2486)
H (0.3767, 0.5349, 0.2107)
H (0.6729, 0.3327, 0.7677)
O (0.6478, 0.8882, 0.2795)
O (0.8449, 0.0855, 0.7867)
Mo (0.4771, 0.8082, 0.5708)
O (0.1758, 0.2160, 0.1078)
H (0.8500, 0.0763, 0.8633)
H (0.6228, 0.1578, 0.9026)
H (0.5778, 0.8924, 0.8240)
O (0.6189, 0.8050, 0.4877)
O (0.6064, 0.1581, 0.9797)
O (0.1320, 0.7020, 0.9541)
K (0.0655, 0.0247, 0.6666)
H (0.2207, 0.9491, 0.4640)
O (0.1180, 0.8338, 0.7899)
H (0.6233, 0.4651, 0.7893)
H (0.8811, 0.4575, 0.9995)
O (0.4536, 0.0938, 0.3068)
O (0.3326, 0.8295, 0.2118)
H (0.4222, 0.1076, 0.1760)
O (0.8242, 0.7840, 0.8922)
Mo (0.7633, 0.7256, 0.5311)
O (0.1318, 0.1431, 0.8860)
H (0.3286, 0.1957, 0.7439)
Cr (0.5000, 0.5000, 0.5000)
H (0.7793, 0.0509, 0.5360)
H (0.8067, 0.0009, 0.7454)
H (0.6295, 0.3866, 0.6226)
H (0.0407, 0.7260, 0.2213)
O (0.4130, 0.3504, 0.3895)
O (0.6089, 0.1037, 0.4963)
O (0.8700, 0.0755, 0.5335)
H (0.3772, 0.8422, 0.0974)
O (0.1551, 0.9145, 0.2133)
H (0.6204, 0.8882, 0.3508)
O (0.5818, 0.8812, 0.8999)
O (0.6450, 0.5473, 0.4180)
O (0.0137, 0.3562, 0.7938)
O (0.6792, 0.4160, 0.7483)
O (0.6601, 0.2850, 0.3622)
H (0.3271, 0.6673, 0.2323)
O (0.3936, 0.8419, 0.0203)
O (0.6076, 0.3789, 0.5426)
Mo (0.7667, 0.8627, 0.0033)
O (0.1215, 0.5533, 0.6414)
H (0.5863, 0.6392, 0.6859)
Mo (0.2333, 0.1373, 0.9967)
O (0.1690, 0.1644, 0.3538)
O (0.8820, 0.1662, 0.2101)
O (0.6266, 0.7330, 0.0234)
O (0.8270, 0.5788, 0.5644)
K (0.0694, 0.4190, 0.2220)
O (0.9863, 0.6438, 0.2062)
Mo (0.5229, 0.1918, 0.4292)
O (0.8655, 0.5418, 0.9928)
O (0.3734, 0.2670, 0.9766)
Cr (0.5000, 0.0000, 0.0000)
Mo (0.2367, 0.2744, 0.4689)
O (0.3913, 0.5757, 0.9791)
H (0.9593, 0.2740, 0.7787)

Results
Raw total energy ... -5.798 eV/atom
Total magnetic moment ... 1.002 μB/f.u.

***

(4)
A plane-wave DFT calculation with PBE with a Hubbard U was carried out for a relaxed K2CrMo6H23O32 crystal.

Unit cell a=10.8990 b=11.2012 c=12.8578 alpha=99.88 beta=94.69 gamma=98.53
Fractional positions:
H (0.3709, 0.6110, 0.3784)
O (0.5397, 0.8976, 0.6891)
O (0.6934, 0.6399, 0.2306)
H (0.0143, 0.7182, 0.1965)
O (0.3799, 0.1971, 0.5120)
H (0.4183, 0.3630, 0.3145)
O (0.3948, 0.8424, 0.0166)
O (0.8736, 0.4547, 0.3583)
O (0.9749, 0.6537, 0.2312)
Mo (0.7621, 0.7235, 0.5324)
H (0.5817, 0.6370, 0.6855)
O (0.1264, 0.5453, 0.6417)
O (0.3568, 0.8192, 0.2106)
H (0.1699, 0.3810, 0.0235)
O (0.3564, 0.4483, 0.5823)
Mo (0.7861, 0.4253, 0.4603)
Cr (0.5000, 0.5000, 0.5000)
H (0.6280, 0.4700, 0.7838)
O (0.8729, 0.1556, 0.2116)
O (0.6201, 0.8029, 0.4880)
O (0.4163, 0.1117, 0.1012)
O (0.6432, 0.1808, 0.7894)
K (0.0598, 0.4172, 0.2199)
H (0.2185, 0.9316, 0.4686)
H (0.6666, 0.3361, 0.7687)
H (0.3703, 0.0338, 0.8249)
O (0.8245, 0.8280, 0.6481)
O (0.6080, 0.3814, 0.5408)
H (0.6600, 0.2751, 0.2763)
K (0.9402, 0.5828, 0.7801)
O (0.6195, 0.7371, 0.0202)
O (0.8237, 0.5768, 0.5642)
Mo (0.2401, 0.1341, 0.9954)
Mo (0.2379, 0.2765, 0.4676)
Mo (0.5227, 0.3069, 0.0846)
H (0.8541, 0.0533, 0.8525)
H (0.6291, 0.3890, 0.6216)
H (0.2865, 0.8672, 0.2249)
O (0.8429, 0.0637, 0.7777)
Mo (0.4773, 0.6931, 0.9154)
H (0.6360, 0.5647, 0.3432)
H (0.6577, 0.6021, 0.1581)
O (0.6115, 0.1171, 0.4997)
O (0.1271, 0.8444, 0.7884)
K (0.0710, 0.0246, 0.6701)
O (0.3572, 0.1190, 0.7156)
H (0.2155, 0.3580, 0.7692)
H (0.3720, 0.5300, 0.2162)
O (0.1359, 0.6674, 0.4710)
H (0.6320, 0.8843, 0.3597)
O (0.3259, 0.5855, 0.2587)
O (0.5410, 0.6164, 0.8056)
O (0.3414, 0.7066, 0.6366)
H (0.8903, 0.1700, 0.5294)
H (0.3640, 0.4353, 0.6568)
H (0.5812, 0.9000, 0.8237)
H (0.1848, 0.5166, 0.0074)
Mo (0.7832, 0.1693, 0.0971)
O (0.8220, 0.7852, 0.8992)
H (0.3380, 0.2030, 0.7396)
O (0.1813, 0.9640, 0.0106)
H (0.8152, 0.4834, 0.9926)
H (0.6620, 0.7970, 0.2604)
O (0.6428, 0.8810, 0.2844)
O (0.6436, 0.5517, 0.4177)
O (0.6586, 0.2934, 0.3634)
O (0.3805, 0.2629, 0.9798)
O (0.3429, 0.7465, 0.8268)
O (0.6427, 0.9914, 0.1060)
Mo (0.7599, 0.8659, 0.0046)
H (0.0103, 0.6757, 0.3055)
O (0.8664, 0.5443, 0.9622)
K (0.9290, 0.9754, 0.3299)
H (0.3812, 0.8318, 0.0921)
H (0.5676, 0.1347, 0.7458)
H (0.9897, 0.3243, 0.6945)
O (0.3878, 0.5780, 0.9640)
Mo (0.2139, 0.5747, 0.5397)
O (0.3885, 0.8829, 0.5003)
H (0.7845, 0.6420, 0.2308)
O (0.1336, 0.4557, 0.0378)
O (0.5837, 0.8883, 0.8988)
O (0.1280, 0.9189, 0.4714)
H (0.4324, 0.8653, 0.2542)
Mo (0.5213, 0.1998, 0.4315)
Mo (0.4787, 0.8002, 0.5685)
O (0.6571, 0.2535, 0.1732)
O (0.1763, 0.4232, 0.4358)
H (0.6297, 0.9662, 0.1751)
H (0.8245, 0.9792, 0.7356)
O (0.8625, 0.2932, 0.0527)
H (0.1755, 0.0208, 0.2644)
O (0.8187, 0.0360, 0.9894)
H (0.3680, 0.1157, 0.6403)
O (0.4603, 0.1024, 0.3109)
O (0.1571, 0.9363, 0.2223)
H (0.3334, 0.6639, 0.2314)
O (0.6741, 0.4145, 0.7413)
O (0.3920, 0.6186, 0.4592)
H (0.3423, 0.3979, 0.8419)
H (0.7135, 0.1328, 0.7751)
O (0.1780, 0.2148, 0.1008)
O (0.4590, 0.3836, 0.1944)
O (0.1375, 0.7068, 0.9473)
O (0.4149, 0.3540, 0.3905)
H (0.1097, 0.8300, 0.4706)
O (0.5851, 0.6460, 0.6095)
O (0.6122, 0.4220, 0.0360)
Mo (0.2168, 0.8307, 0.9029)
O (0.0251, 0.3463, 0.7688)
O (0.6052, 0.1576, 0.9834)
O (0.1463, 0.2388, 0.5650)
H (0.6188, 0.1682, 0.9079)
Cr (0.5000, 0.0000, 0.0000)
H (0.8301, 0.6190, 0.9765)
H (0.1459, 0.9467, 0.1475)
H (0.7815, 0.0684, 0.5314)
O (0.8537, 0.7612, 0.4350)
H (0.3400, 0.7249, 0.7237)
O (0.1755, 0.1720, 0.3519)
O (0.3066, 0.3601, 0.7694)
H (0.4188, 0.1000, 0.1763)
O (0.8641, 0.3326, 0.5290)
O (0.3573, 0.0086, 0.8940)
H (0.9857, 0.2818, 0.8035)
O (0.8539, 0.8579, 0.1184)
O (0.1461, 0.1421, 0.8816)
O (0.8720, 0.0811, 0.5286)

Results
Raw total energy ... -5.840 eV/atom
Total magnetic moment ... 3.110 μB/f.u.

***

no.,energy relative to the elements (eV per atom)
1,-1.341
2,-1.631
3,-1.522
4,-1.619